Here is an optimized crystal structure of HoB4W from Materials Project. Energies are from GGA-PBE.

Values from the calculation:
SG ... Pbam (55)

POSCAR file:
```
HoB4W
1.0
6.0317 0.0000 0.0000
0.0000 11.6535 0.0000
0.0000 0.0000 3.6190
Ho B W
4 16 4
Direct
0.1271 0.1496 0.0000
0.3729 0.6496 0.0000
0.6271 0.3504 0.0000
0.8729 0.8504 0.0000
0.0232 0.6936 0.5000
0.1142 0.5475 0.5000
0.1332 0.9679 0.5000
0.2122 0.8134 0.5000
0.2878 0.3134 0.5000
0.3668 0.4679 0.5000
0.3858 0.0475 0.5000
0.4768 0.1936 0.5000
0.5232 0.8064 0.5000
0.6142 0.9525 0.5000
0.6332 0.5321 0.5000
0.7122 0.6866 0.5000
0.7878 0.1866 0.5000
0.8668 0.0321 0.5000
0.8858 0.4525 0.5000
0.9768 0.3064 0.5000
0.1311 0.4154 0.0000
0.3689 0.9154 0.0000
0.6311 0.0846 0.0000
0.8689 0.5846 0.0000
```

Here is an optimized crystal structure of Co7SiN6 from Materials Project. Energies are from GGA-PBE.

Values from the calculation:
SG ... Pbcn (60)
E (MP2020) ... -7.5071 eV/atom

POSCAR file:
```
Co7SiN6
1.0
9.2630 0.0000 0.0000
0.0000 5.3929 0.0000
0.0000 0.0000 11.5789
Co Si N
28 4 24
Direct
0.0000 0.1141 0.2500
0.0000 0.8859 0.7500
0.0068 0.2563 0.0353
0.0068 0.7437 0.5353
0.1832 0.0617 0.9118
0.1832 0.9383 0.4118
0.2279 0.1279 0.6184
0.2279 0.8721 0.1184
0.2721 0.3721 0.1184
0.2721 0.6279 0.6184
0.3168 0.4383 0.4118
0.3168 0.5617 0.9118
0.4932 0.2437 0.5353
0.4932 0.7563 0.0353
0.5000 0.3859 0.7500
0.5000 0.6141 0.2500
0.5068 0.2437 0.9647
0.5068 0.7563 0.4647
0.6832 0.4383 0.0882
0.6832 0.5617 0.5882
0.7279 0.3721 0.3816
0.7279 0.6279 0.8816
0.7721 0.1279 0.8816
0.7721 0.8721 0.3816
0.8168 0.0617 0.5882
0.8168 0.9383 0.0882
0.9932 0.2563 0.4647
0.9932 0.7437 0.9647
0.0000 0.3806 0.7500
0.0000 0.6194 0.2500
0.5000 0.1194 0.2500
0.5000 0.8806 0.7500
0.0802 0.3853 0.1657
0.0802 0.6147 0.6657
0.1374 0.1555 0.7644
0.1374 0.8445 0.2644
0.1827 0.2442 0.4751
0.1827 0.7558 0.9751
0.3173 0.2558 0.9751
0.3173 0.7442 0.4751
0.3626 0.3445 0.2644
0.3626 0.6555 0.7644
0.4198 0.1147 0.6657
0.4198 0.8853 0.1657
0.5802 0.1147 0.8343
0.5802 0.8853 0.3343
0.6374 0.3445 0.2356
0.6374 0.6555 0.7356
0.6827 0.2558 0.5249
0.6827 0.7442 0.0249
0.8173 0.2442 0.0249
0.8173 0.7558 0.5249
0.8626 0.1555 0.7356
0.8626 0.8445 0.2356
0.9198 0.3853 0.3343
0.9198 0.6147 0.8343
```

Here is an optimized crystal structure of NdAs2Pd2 from Materials Project. Energies are from GGA-PBE.

Values from the calculation:
SG ... I4/mmm (139)

POSCAR file:
```
NdAs2Pd2
1.0
-2.1494 2.1494 5.2822
2.1494 -2.1494 5.2822
2.1494 2.1494 -5.2822
Nd As Pd
1 2 2
Direct
0.0000 0.0000 0.0000
0.3805 0.3805 0.0000
0.6195 0.6195 0.0000
0.2500 0.7500 0.5000
0.7500 0.2500 0.5000
```

Here is an optimized crystal structure of GdYCu2 from Materials Project. Energies are from GGA-PBE.

Values from the calculation:
SG ... Fm-3m (225)

POSCAR file:
```
GdYCu2
1.0
0.0000 3.4793 3.4793
3.4793 0.0000 3.4793
3.4793 3.4793 0.0000
Gd Y Cu
1 1 2
Direct
0.0000 0.0000 0.0000
0.5000 0.5000 0.5000
0.2500 0.2500 0.2500
0.7500 0.7500 0.7500
```

Here is an optimized crystal structure of LiMg2 from Materials Project. Energies are from GGA-PBE.

Values from the calculation:
SG ... Cmcm (63)

POSCAR file:
```
LiMg2
1.0
1.5688 -8.1442 0.0000
1.5688 8.1442 0.0000
0.0000 0.0000 5.0661
Li Mg
2 4
Direct
0.1109 0.8891 0.7500
0.8891 0.1109 0.2500
0.2223 0.7777 0.2500
0.4448 0.5552 0.7500
0.5552 0.4448 0.2500
0.7777 0.2223 0.7500
```

Here is an optimized crystal structure of Zn2As2O9 from Materials Project. Energies are from GGA-PBE.

Values from the calculation:
SG ... P2_1/c (14)
E (MP2020) ... -5.5079 eV/atom

POSCAR file:
```
Zn2As2O9
1.0
6.5587 0.0000 0.0000
0.0000 14.3803 0.0000
-5.7649 0.0000 7.7785
Zn As O
8 8 36
Direct
0.1930 0.1164 0.4245
0.1930 0.3836 0.9245
0.2808 0.7393 0.8537
0.2808 0.7607 0.3537
0.7192 0.2393 0.6463
0.7192 0.2607 0.1463
0.8070 0.6164 0.0755
0.8070 0.8836 0.5755
0.1112 0.1756 0.0455
0.1112 0.3244 0.5455
0.3915 0.5746 0.1630
0.3915 0.9254 0.6630
0.6085 0.0746 0.3370
0.6085 0.4254 0.8370
0.8888 0.6756 0.4545
0.8888 0.8244 0.9545
0.0178 0.5190 0.2656
0.0178 0.9810 0.7656
0.0413 0.2014 0.1866
0.0413 0.2986 0.6866
0.1412 0.6512 0.6564
0.1412 0.8488 0.1564
0.1960 0.6460 0.1794
0.1960 0.8540 0.6794
0.2872 0.0354 0.6244
0.2872 0.4646 0.1244
0.3032 0.0730 0.1294
0.3032 0.4270 0.6294
0.3139 0.2386 0.5653
0.3139 0.2614 0.0653
0.4471 0.6236 0.0261
0.4471 0.8764 0.5261
0.4670 0.1774 0.9411
0.4670 0.3226 0.4411
0.5330 0.6774 0.5589
0.5330 0.8226 0.0589
0.5529 0.1236 0.4739
0.5529 0.3764 0.9739
0.6861 0.7386 0.9347
0.6861 0.7614 0.4347
0.6968 0.5730 0.3706
0.6968 0.9270 0.8706
0.7128 0.5354 0.8756
0.7128 0.9646 0.3756
0.8040 0.1460 0.3206
0.8040 0.3540 0.8206
0.8588 0.1512 0.8436
0.8588 0.3488 0.3436
0.9587 0.7014 0.3134
0.9587 0.7986 0.8134
0.9822 0.0190 0.2344
0.9822 0.4810 0.7344
```

Here is an optimized crystal structure of ScH24C3S3N9O15 from Materials Project. Energies are from GGA-PBE.

Values from the calculation:
SG ... R-3 (148)
E (MP2020) ... -6.1142 eV/atom

POSCAR file:
```
ScH24C3S3N9O15
1.0
9.7938 5.6544 3.2380
-9.7938 5.6544 3.2380
0.0000 -11.3089 3.2380
Sc H C S N O
2 48 6 6 18 30
Direct
0.0000 0.0000 0.0000
0.5000 0.5000 0.5000
0.0006 0.7704 0.4047
0.0162 0.6695 0.0521
0.0490 0.6643 0.5362
0.0521 0.0162 0.6695
0.0660 0.7679 0.2925
0.1232 0.5634 0.4948
0.1595 0.8123 0.8142
0.1722 0.6483 0.2535
0.1858 0.8405 0.1877
0.1877 0.1858 0.8405
0.2057 0.5645 0.3456
0.2296 0.5953 0.9994
0.2321 0.7075 0.9340
0.2535 0.1722 0.6483
0.2925 0.0660 0.7679
0.3305 0.9479 0.9838
0.3357 0.4638 0.9510
0.3456 0.2057 0.5645
0.3517 0.7465 0.8278
0.4047 0.0006 0.7704
0.4355 0.6544 0.7943
0.4366 0.5052 0.8768
0.4638 0.9510 0.3357
0.4948 0.1233 0.5634
0.5052 0.8768 0.4366
0.5362 0.0490 0.6643
0.5634 0.4948 0.1232
0.5645 0.3456 0.2057
0.5953 0.9994 0.2296
0.6483 0.2535 0.1722
0.6544 0.7943 0.4355
0.6643 0.5362 0.0490
0.6695 0.0521 0.0162
0.7075 0.9340 0.2321
0.7465 0.8278 0.3517
0.7679 0.2925 0.0660
0.7704 0.4047 0.0006
0.7943 0.4355 0.6544
0.8123 0.8142 0.1595
0.8142 0.1595 0.8123
0.8278 0.3517 0.7465
0.8405 0.1877 0.1858
0.8768 0.4366 0.5052
0.9340 0.2321 0.7075
0.9479 0.9838 0.3305
0.9510 0.3357 0.4638
0.9838 0.3305 0.9479
0.9994 0.2296 0.5953
0.1110 0.6715 0.3963
0.3285 0.6037 0.8890
0.3963 0.1110 0.6715
0.6037 0.8890 0.3285
0.6715 0.3963 0.1110
0.8890 0.3285 0.6037
0.1234 0.2547 0.3800
0.2547 0.3800 0.1234
0.3800 0.1234 0.2547
0.6200 0.8766 0.7453
0.7453 0.6200 0.8766
0.8766 0.7453 0.6200
0.0629 0.7512 0.3703
0.0987 0.6357 0.4881
0.1765 0.6324 0.3343
0.2488 0.6297 0.9371
0.3343 0.1765 0.6324
0.3643 0.5119 0.9013
0.3676 0.6657 0.8235
0.3703 0.0629 0.7512
0.4881 0.0987 0.6357
0.5119 0.9013 0.3643
0.6297 0.9371 0.2488
0.6324 0.3343 0.1765
0.6357 0.4881 0.0987
0.6657 0.8235 0.3676
0.7512 0.3703 0.0629
0.8235 0.3676 0.6657
0.9013 0.3643 0.5119
0.9371 0.2488 0.6297
0.0445 0.1132 0.2180
0.0717 0.3482 0.3650
0.0802 0.1979 0.4598
0.1132 0.2180 0.0445
0.1283 0.7281 0.1401
0.1401 0.1283 0.7281
0.1979 0.4598 0.0802
0.2180 0.0445 0.1132
0.2719 0.8599 0.8717
0.3003 0.3535 0.4733
0.3482 0.3650 0.0717
0.3535 0.4733 0.3003
0.3650 0.0717 0.3482
0.4598 0.0802 0.1979
0.4733 0.3003 0.3535
0.5267 0.6997 0.6465
0.5402 0.9198 0.8021
0.6350 0.9283 0.6518
0.6465 0.5267 0.6997
0.6518 0.6350 0.9283
0.6997 0.6465 0.5267
0.7281 0.1401 0.1283
0.7820 0.9555 0.8868
0.8021 0.5402 0.9198
0.8599 0.8717 0.2719
0.8717 0.2719 0.8599
0.8868 0.7820 0.9555
0.9198 0.8021 0.5402
0.9283 0.6518 0.6350
0.9555 0.8868 0.7820
```

Here is an optimized crystal structure of Pr4Ga2O9 from Materials Project. Energies are from GGA-PBE.

Values from the calculation:
SG ... P2_1/c (14)
E (MP2020) ... -7.9525 eV/atom

POSCAR file:
```
Pr4Ga2O9
1.0
7.9076 0.0000 0.0000
0.0000 11.1642 0.0000
-3.8381 0.0000 11.0494
Pr Ga O
16 8 36
Direct
0.0209 0.1037 0.2824
0.0209 0.3963 0.7824
0.1663 0.6219 0.5717
0.1663 0.8781 0.0717
0.3347 0.1222 0.9118
0.3347 0.3778 0.4118
0.4764 0.5886 0.1942
0.4764 0.9114 0.6942
0.5236 0.0886 0.3058
0.5236 0.4114 0.8058
0.6653 0.6222 0.5882
0.6653 0.8778 0.0882
0.8337 0.1219 0.9283
0.8337 0.3781 0.4283
0.9791 0.6037 0.2176
0.9791 0.8963 0.7176
0.1545 0.1848 0.6151
0.1545 0.3152 0.1151
0.2823 0.6878 0.8728
0.2823 0.8122 0.3728
0.7177 0.1878 0.6272
0.7177 0.3122 0.1272
0.8455 0.6848 0.8849
0.8455 0.8152 0.3849
0.0682 0.7503 0.3876
0.0682 0.7497 0.8876
0.0692 0.0108 0.8985
0.0692 0.4892 0.3985
0.1399 0.2264 0.4604
0.1399 0.2736 0.9604
0.2039 0.0313 0.6785
0.2039 0.4687 0.1785
0.2660 0.7249 0.2327
0.2660 0.7751 0.7327
0.2786 0.5297 0.8276
0.2786 0.9703 0.3276
0.2844 0.2236 0.2481
0.2844 0.2764 0.7481
0.4234 0.0044 0.1046
0.4234 0.4956 0.6046
0.4275 0.7317 0.0242
0.4275 0.7683 0.5242
0.5725 0.2317 0.4758
0.5725 0.2683 0.9758
0.5766 0.5044 0.3954
0.5766 0.9956 0.8954
0.7156 0.7236 0.2519
0.7156 0.7764 0.7519
0.7214 0.0297 0.6724
0.7214 0.4703 0.1724
0.7340 0.2249 0.2673
0.7340 0.2751 0.7673
0.7961 0.5313 0.8215
0.7961 0.9687 0.3215
0.8601 0.7264 0.0396
0.8601 0.7736 0.5396
0.9308 0.5108 0.6015
0.9308 0.9892 0.1015
0.9318 0.2503 0.1124
0.9318 0.2497 0.6124
```

Here is an optimized crystal structure of TbGdAl6 from Materials Project. Energies are from GGA-PBE.

Values from the calculation:
SG ... P-6m2 (187)

POSCAR file:
```
TbGdAl6
1.0
6.3006 0.0000 0.0000
-3.1503 5.4565 0.0000
0.0000 0.0000 4.6195
Tb Gd Al
1 1 6
Direct
0.0000 0.0000 0.0000
0.3333 0.6667 0.5000
0.3735 0.1867 0.5000
0.5198 0.0397 0.0000
0.5198 0.4802 0.0000
0.8133 0.1867 0.5000
0.8133 0.6265 0.5000
0.9603 0.4802 0.0000
```

Here is an optimized crystal structure of Mg2VIn3S8 from Materials Project. Energies are from GGA-PBE.

Values from the calculation:
SG ... P-1 (2)
E (MP2020) ... -4.9442 eV/atom

POSCAR file:
```
Mg2VIn3S8
1.0
7.5543 0.0000 0.0000
3.7289 6.5930 0.0000
3.7494 2.2001 6.2411
Mg V In S
2 1 3 8
Direct
0.1241 0.1242 0.1242
0.8759 0.8758 0.8758
0.5000 0.5000 0.5000
0.0000 0.5000 0.5000
0.5000 0.0000 0.5000
0.5000 0.5000 0.0000
0.2570 0.2560 0.2580
0.2692 0.2698 0.7246
0.2694 0.7237 0.2692
0.2761 0.7306 0.7312
0.7239 0.2694 0.2688
0.7306 0.2763 0.7308
0.7308 0.7302 0.2754
0.7430 0.7440 0.7420
```

DFT formation energy values, unit eV per atom, following the record order: -0.601 0.007 -0.851 -0.221 -0.057 -1.172 -1.076 -3.305 -0.436 -1.113.